Compound: Na2FeO3
Source: the Materials Project
Functional: PBE with a Hubbard U
Structure: optimized geometry

Lattice parameters (Å, degrees): 6.257 6.274 10.106 90.00 90.00 90.00
Atoms (fractional coordinates):
Na 0.011 0.501 0.755
Na 0.011 0.999 0.755
Na 0.489 0.499 0.255
Na 0.489 0.001 0.255
Na 0.511 0.501 0.745
Na 0.511 0.999 0.745
Na 0.989 0.001 0.245
Na 0.989 0.499 0.245
Fe 0.161 0.750 0.001
Fe 0.339 0.250 0.501
Fe 0.661 0.750 0.499
Fe 0.839 0.250 0.999
O 0.000 0.000 0.000
O 0.000 0.500 0.000
O 0.223 0.250 0.341
O 0.243 0.250 0.667
O 0.257 0.750 0.167
O 0.277 0.750 0.841
O 0.500 0.500 0.500
O 0.500 0.000 0.500
O 0.723 0.250 0.159
O 0.743 0.250 0.833
O 0.757 0.750 0.333
O 0.777 0.750 0.659

- density (g/cm³) = 2.508
- DFT total energy (eV per atom) = -5.17
- DFT formation energy (eV/atom) = -1.563
- SG = Pnma, No. 62
- energy relative to the lowest polymorph listed for this composition (kJ/mol of formula units) = 43